Compound: CoGeAs2
Source: the Materials Project database
Functional: GGA-PBE
Structure: relaxed

Cell lengths 6.7426, 6.7426, 6.7426 Å; angles 131.53, 131.53, 70.97 degrees
Element x y z (fractional)
Co (0.0000, 0.0000, 0.0000)
Co (0.7500, 0.2500, 0.5000)
Ge (0.2500, 0.7500, 0.5000)
Ge (0.5000, 0.5000, 0.0000)
As (0.0842, 0.1250, 0.4592)
As (0.3750, 0.9158, 0.0408)
As (0.6658, 0.6250, 0.5408)
As (0.8750, 0.3342, 0.9592)

formation energy from the elements	11.3	kJ/mol of formula units
final energy	-0.38463	Ry per atom
SG	No. 122